Density functional theory data (GGA+U) for an optimized crystal structure of VPO5.

Geometry as CIF:
```
data_VPO5
_cell_length_a 6.235
_cell_length_b 7.239
_cell_length_c 7.814
_cell_angle_alpha 90.00
_cell_angle_beta 90.00
_cell_angle_gamma 90.00
_space_group_name_H-M_alt 'P 1'
_space_group_IT_number 1
loop_
_space_group_symop_operation_xyz
'x,y,z'
loop_
_atom_site_label
_atom_site_type_symbol
_atom_site_fract_x
_atom_site_fract_y
_atom_site_fract_z
V1 V 0.250 0.728 0.673
V2 V 0.750 0.228 0.827
V3 V 0.250 0.772 0.173
V4 V 0.750 0.272 0.327
P1 P 0.750 0.613 0.622
P2 P 0.250 0.113 0.878
P3 P 0.750 0.887 0.122
P4 P 0.250 0.387 0.378
O1 O 0.250 0.499 0.545
O2 O 0.552 0.740 0.629
O3 O 0.948 0.740 0.629
O4 O 0.750 0.151 0.633
O5 O 0.250 0.982 0.719
O6 O 0.750 0.482 0.781
O7 O 0.250 0.651 0.867
O8 O 0.052 0.240 0.871
O9 O 0.448 0.240 0.871
O10 O 0.750 0.999 0.955
O11 O 0.250 0.001 0.045
O12 O 0.552 0.760 0.129
O13 O 0.948 0.760 0.129
O14 O 0.750 0.349 0.133
O15 O 0.750 0.501 0.455
O16 O 0.750 0.018 0.281
O17 O 0.250 0.849 0.367
O18 O 0.052 0.260 0.371
O19 O 0.448 0.260 0.371
O20 O 0.250 0.518 0.219
```

Calculated values
ρ ... 3.05 Mg/m³
Energy above the lowest structure with this stoichiometry ... 0 meV/atom
Calculated volume ... 352.7 Å³/cell
Energy relative to the elements ... -2.500 eV/atom